VASP calculation (GGA-PBE) on crystalline CaAsPd at its relaxed geometry.

* total DFT energy (no corrections): -4.90 eV/atom
* formation energy: -0.9498 eV per atom

```
data_CaAsPd
_symmetry_space_group_name_H-M 'P n m a'
_symmetry_Int_Tables_number 62
_cell_length_a 7.2314
_cell_length_b 8.7573
_cell_length_c 16.7570
_cell_angle_alpha 90.00
_cell_angle_beta 90.00
_cell_angle_gamma 90.00
loop_
_symmetry_equiv_pos_as_xyz
'x,y,z'
'-x,-y,-z'
'-x+1/2,-y,z+1/2'
'x+1/2,y,-z+1/2'
'x+1/2,-y+1/2,-z+1/2'
'-x+1/2,y+1/2,z+1/2'
'-x,y+1/2,-z'
'x,-y+1/2,z'
loop_
_atom_site_label
_atom_site_fract_x
_atom_site_fract_y
_atom_site_fract_z
_atom_site_occupancy
Ca1 0.2333 0.0092 0.1881 1
Ca2 0.2493 0.0221 0.4390 1
As1 0.0496 0.2500 0.3230 1
As2 0.0696 0.2500 0.7888 1
As3 0.0776 0.2500 0.0706 1
As4 0.1440 0.2500 0.5672 1
Pd1 0.0135 0.7500 0.0711 1
Pd2 0.0934 0.7500 0.5377 1
Pd3 0.1084 0.7500 0.3345 1
Pd4 0.1098 0.7500 0.8077 1
```



VASP calculation (GGA-PBE) on crystalline Pr2CoGe3 at its relaxed geometry.

* size of the total moment: 0.004 μB per atom
* total DFT energy (no corrections): -5.63 eV/atom
* formation energy: -0.5371 eV per atom

```
data_Pr2CoGe3
_symmetry_space_group_name_H-M 'P -6 m 2'
_symmetry_Int_Tables_number 187
_symmetry_space_group_name_Hall 'P -6 2'
_cell_length_a 4.2491
_cell_length_b 4.2491
_cell_length_c 8.4075
_cell_angle_alpha 90.00
_cell_angle_beta 90.00
_cell_angle_gamma 120.00
loop_
_atom_site_label
_atom_site_fract_x
_atom_site_fract_y
_atom_site_fract_z
_atom_site_occupancy
Pr1 0.0000 0.0000 0.2319 1
Co1 0.6667 0.3333 0.0000 1
Ge1 0.3333 0.6667 0.0000 1
Ge2 0.3333 0.6667 0.5000 1
Ge3 0.6667 0.3333 0.5000 1
```



VASP calculation (GGA-PBE) on crystalline Na6Ta4Zn8Si3S15O72 at its relaxed geometry.

* size of the total moment: 0.000 μB per atom
* total DFT energy (no corrections): -6.36 eV/atom
* formation energy: -2.1839 eV per atom

```
data_Na6Ta4Zn8Si3S15O72
_symmetry_space_group_name_H-M 'P 1'
_symmetry_Int_Tables_number 1
_cell_length_a 8.7713
_cell_length_b 8.7957
_cell_length_c 22.5342
_cell_angle_alpha 89.65
_cell_angle_beta 89.81
_cell_angle_gamma 60.10
loop_
_symmetry_equiv_pos_as_xyz
'x,y,z'
loop_
_atom_site_label
_atom_site_fract_x
_atom_site_fract_y
_atom_site_fract_z
_atom_site_occupancy
Na1 0.0000 0.0000 0.0000 1
Na2 0.0049 0.9954 0.5061 1
Na3 0.3293 0.3379 0.3417 1
Na4 0.3409 0.3323 0.8264 1
Na5 0.6474 0.6919 0.6648 1
Na6 0.6957 0.6636 0.1753 1
Ta1 0.0047 0.9995 0.6548 1
Ta2 0.0057 0.9971 0.1567 1
Ta3 0.3291 0.3483 0.9905 1
Ta4 0.3438 0.3398 0.4961 1
Zn1 0.0005 0.0034 0.3628 1
Zn2 0.0029 0.0014 0.8558 1
Zn3 0.3227 0.3444 0.1951 1
Zn4 0.3619 0.3272 0.6879 1
Zn5 0.6558 0.6898 0.5308 1
Zn6 0.6674 0.6760 0.8191 1
Zn7 0.6685 0.6731 0.3318 1
Zn8 0.6855 0.6705 0.0266 1
Si1 0.0346 0.6289 0.0978 1
Si2 0.3461 0.6268 0.5990 1
Si3 0.6305 0.0344 0.5990 1
S1 0.0016 0.2955 0.2615 1
S2 0.0019 0.7095 0.7619 1
S3 0.0487 0.3349 0.5955 1
S4 0.2958 0.0065 0.7625 1
S5 0.3013 0.7120 0.2622 1
S6 0.3358 0.0465 0.0950 1
S7 0.3700 0.9736 0.4246 1
S8 0.3823 0.6740 0.9288 1
S9 0.6278 0.3356 0.0953 1
S10 0.6689 0.3765 0.4259 1
S11 0.6710 0.9682 0.9270 1
S12 0.7063 0.0063 0.2604 1
S13 0.7137 0.3009 0.7633 1
S14 0.9637 0.3718 0.9272 1
S15 0.9677 0.6661 0.4251 1
O1 0.0001 0.1906 0.9221 1
O2 0.0100 0.1949 0.3142 1
O3 0.0220 0.7894 0.8165 1
O4 0.0315 0.8240 0.1016 1
O5 0.0474 0.1632 0.6003 1
O6 0.1224 0.3638 0.6487 1
O7 0.1242 0.5188 0.1553 1
O8 0.1484 0.5024 0.4313 1
O9 0.1515 0.3521 0.9370 1
O10 0.1511 0.5338 0.7560 1
O11 0.1594 0.0516 0.0997 1
O12 0.1610 0.8253 0.6027 1
O13 0.1644 0.3050 0.2583 1
O14 0.1673 0.3021 0.5415 1
O15 0.1676 0.5294 0.0384 1
O16 0.1901 0.9987 0.4207 1
O17 0.1922 0.9988 0.7102 1
O18 0.1937 0.7996 0.3136 1
O19 0.1965 0.8234 0.2056 1
O20 0.1989 0.8162 0.9245 1
O21 0.2031 0.0148 0.8184 1
O22 0.3049 0.5337 0.5394 1
O23 0.3101 0.1647 0.7580 1
O24 0.3114 0.1620 0.0417 1
O25 0.3232 0.5368 0.2563 1
O26 0.3494 0.1554 0.4316 1
O27 0.3518 0.5312 0.6588 1
O28 0.3687 0.5025 0.9373 1
O29 0.3703 0.1167 0.1482 1
O30 0.4569 0.8674 0.4765 1
O31 0.4646 0.6907 0.9828 1
O32 0.4679 0.7127 0.2597 1
O33 0.4685 0.8427 0.7601 1
O34 0.4704 0.8667 0.0844 1
O35 0.4712 0.9028 0.3688 1
O36 0.4854 0.6429 0.8750 1
O37 0.5014 0.3604 0.4329 1
O38 0.5076 0.1502 0.9371 1
O39 0.5114 0.1038 0.6563 1
O40 0.5105 0.6477 0.5854 1
O41 0.5277 0.1698 0.5401 1
O42 0.5315 0.3482 0.1490 1
O43 0.5340 0.1631 0.2521 1
O44 0.5378 0.3205 0.7595 1
O45 0.5437 0.3020 0.0418 1
O46 0.6351 0.8971 0.8739 1
O47 0.6400 0.4743 0.3694 1
O48 0.6469 0.4883 0.0857 1
O49 0.6878 0.4635 0.4771 1
O50 0.6947 0.8660 0.9812 1
O51 0.6998 0.8354 0.5839 1
O52 0.7018 0.8422 0.2587 1
O53 0.7074 0.4724 0.7615 1
O54 0.7915 0.0247 0.3128 1
O55 0.7948 0.2059 0.8191 1
O56 0.8102 0.1729 0.0980 1
O57 0.8121 0.0527 0.6061 1
O58 0.8160 0.1936 0.4219 1
O59 0.8216 0.9986 0.9213 1
O60 0.8230 0.1982 0.7110 1
O61 0.8228 0.9947 0.2049 1
O62 0.8318 0.7128 0.7606 1
O63 0.8392 0.6682 0.0881 1
O64 0.8407 0.4679 0.2592 1
O65 0.8618 0.6816 0.4766 1
O66 0.8635 0.4489 0.9815 1
O67 0.8732 0.4735 0.5823 1
O68 0.8950 0.6431 0.3684 1
O69 0.8959 0.4801 0.8743 1
O70 0.9939 0.8236 0.7087 1
O71 0.9947 0.1955 0.2059 1
O72 0.9978 0.8183 0.4216 1
```



VASP calculation (GGA-PBE) on crystalline EuYSi4N7 at its relaxed geometry.

* size of the total moment: 0.538 μB per atom
* total DFT energy (no corrections): -8.68 eV/atom
* formation energy: -1.4340 eV per atom

```
data_EuYSi4N7
_symmetry_space_group_name_H-M 'P 63 m c'
_symmetry_Int_Tables_number 186
_symmetry_space_group_name_Hall 'P 6c -2c'
_cell_length_a 6.0465
_cell_length_b 6.0465
_cell_length_c 9.8839
_cell_angle_alpha 90.00
_cell_angle_beta 90.00
_cell_angle_gamma 120.00
loop_
_atom_site_label
_atom_site_fract_x
_atom_site_fract_y
_atom_site_fract_z
_atom_site_occupancy
Eu1 0.3333 0.6667 0.0000 1
Y1 0.3333 0.6667 0.3653 1
Si1 0.0000 0.0000 0.4410 1
Si2 0.1736 0.3472 0.6741 1
N1 0.0000 0.0000 0.2506 1
N2 0.0219 0.5110 0.7251 1
N3 0.1530 0.3059 0.5014 1
```



VASP calculation (GGA-PBE) on crystalline Sc5Ga3 at its relaxed geometry.

* total DFT energy (no corrections): -5.62 eV/atom
* polymorph energy (0 for the lowest one): 0.007 eV per atom
* formation energy: -0.5224 eV per atom

```
data_Sc5Ga3
_symmetry_space_group_name_H-M 'P 63/m c m'
_symmetry_Int_Tables_number 193
_symmetry_space_group_name_Hall '-P 6c 2'
_cell_length_a 8.1137
_cell_length_b 8.1137
_cell_length_c 5.9533
_cell_angle_alpha 90.00
_cell_angle_beta 90.00
_cell_angle_gamma 120.00
loop_
_atom_site_label
_atom_site_fract_x
_atom_site_fract_y
_atom_site_fract_z
_atom_site_occupancy
Sc1 0.0000 0.2414 0.2500 1
Sc2 0.3333 0.6667 0.0000 1
Ga1 0.0000 0.3995 0.7500 1
```



VASP calculation (GGA-PBE) on crystalline SrLiBS3 at its relaxed geometry.

* size of the total moment: 0.000 μB per atom
* total DFT energy (no corrections): -5.04 eV/atom
* formation energy: -1.5067 eV per atom

```
data_SrLiBS3
_symmetry_space_group_name_H-M 'P n m a'
_symmetry_Int_Tables_number 62
_cell_length_a 7.5893
_cell_length_b 9.1721
_cell_length_c 7.1139
_cell_angle_alpha 90.00
_cell_angle_beta 90.00
_cell_angle_gamma 90.00
loop_
_symmetry_equiv_pos_as_xyz
'x,y,z'
'-x,-y,-z'
'-x+1/2,-y,z+1/2'
'x+1/2,y,-z+1/2'
'x+1/2,-y+1/2,-z+1/2'
'-x+1/2,y+1/2,z+1/2'
'-x,y+1/2,-z'
'x,-y+1/2,z'
loop_
_atom_site_label
_atom_site_fract_x
_atom_site_fract_y
_atom_site_fract_z
_atom_site_occupancy
Sr1 0.1429 0.2500 0.0282 1
Li1 0.0000 0.0000 0.5000 1
B1 0.2140 0.2500 0.4616 1
S1 0.0240 0.2500 0.6215 1
S2 0.1963 0.5799 0.8687 1
```



VASP calculation (GGA-PBE) on crystalline Ba2TaCu2Pb2ClO8 at its relaxed geometry.

* size of the total moment: 0.002 μB per atom
* total DFT energy (no corrections): -6.42 eV/atom
* formation energy: -2.2165 eV per atom

```
data_Ba2TaCu2Pb2ClO8
_symmetry_space_group_name_H-M 'A m m 2'
_symmetry_Int_Tables_number 38
_cell_length_a 16.0383
_cell_length_b 5.6389
_cell_length_c 5.6384
_cell_angle_alpha 90.00
_cell_angle_beta 90.00
_cell_angle_gamma 90.00
loop_
_symmetry_equiv_pos_as_xyz
'x,y,z'
'-x,-y,z'
'-x,y,z'
'x,-y,z'
'x,y+1/2,z+1/2'
'-x,-y+1/2,z+1/2'
'-x,y+1/2,z+1/2'
'x,-y+1/2,z+1/2'
loop_
_atom_site_label
_atom_site_fract_x
_atom_site_fract_y
_atom_site_fract_z
_atom_site_occupancy
Ba1 0.1506 0.0000 0.0000 1
Ta1 0.0000 0.0000 0.4944 1
Cu1 0.2785 0.0000 0.5063 1
Pb1 0.3808 0.0000 0.0077 1
Cl1 0.5000 0.0000 0.5074 1
O1 0.0000 0.2466 0.2382 1
O2 0.1238 0.0000 0.4952 1
O3 0.2894 0.2503 0.2570 1
```



VASP calculation (GGA-PBE) on crystalline Na15SnGe8P at its relaxed geometry.

* total DFT energy (no corrections): -2.84 eV/atom
* formation energy: -0.1920 eV per atom

```
data_Na15SnGe8P
_symmetry_space_group_name_H-M 'C m c m'
_symmetry_Int_Tables_number 63
_symmetry_space_group_name_Hall '-C 2c 2'
_cell_length_a 17.6470
_cell_length_b 12.9483
_cell_length_c 11.2550
_cell_angle_alpha 90.00
_cell_angle_beta 90.00
_cell_angle_gamma 90.00
loop_
_atom_site_label
_atom_site_fract_x
_atom_site_fract_y
_atom_site_fract_z
_atom_site_occupancy
Na1 0.0000 0.0674 0.2500 1
Na2 0.0000 0.2491 0.5031 1
Na3 0.0842 0.3515 0.7500 1
Na4 0.0929 0.3963 0.2500 1
Na5 0.1305 0.0874 0.6166 1
Na6 0.1896 0.3686 0.5008 1
Sn1 0.0000 0.5000 0.0000 1
Ge1 0.1461 0.1631 0.1362 1
Ge2 0.2468 0.2419 0.7500 1
Ge3 0.2502 0.0535 0.2500 1
P1 0.0000 0.1562 0.7500 1
```



- Look up the formation energy of the fifth one.
  -0.5224 eV per atom